[1]
A geometry-optimized MoPd2 structure. Source: the Materials Project database, functional r2SCAN.

abc: 4.7643 4.7643 4.7643
angles: 146.49 131.10 60.59
Last column: nearest neighbours and their distance in Å.
Element x y z (fractional)
Mo (0.0000, 0.0000, 0.0000)  2 Mo 2.75, 10 Pd 2.75-2.76
Pd (0.3348, 0.3348, 0.0000)  7 Pd 2.72-2.78, 5 Mo 2.75-2.76
Pd (0.6652, 0.6652, 0.0000)  7 Pd 2.72-2.78, 5 Mo 2.75-2.76

**Crystal system**: orthorhombic
**Space-group type**: Immm (71)

***

[2]
A geometry-optimized ErNiPb structure. Source: the Materials Project database, functional r2SCAN.

abc: 7.0819 4.4727 7.7604
angles: 90.00 90.00 90.00
Last column: nearest neighbours and their distance in Å.
Element x y z (fractional)
Er (0.0108, 0.2500, 0.2014)  5 Ni 2.98-3.20, 6 Pb 3.13-3.23
Er (0.4892, 0.7500, 0.7014)  5 Ni 2.98-3.20, 6 Pb 3.13-3.23
Er (0.5108, 0.2500, 0.2986)  5 Ni 2.98-3.20, 6 Pb 3.13-3.23
Er (0.9892, 0.7500, 0.7986)  5 Ni 2.98-3.20, 6 Pb 3.13-3.23
Ni (0.2120, 0.7500, 0.4129)  4 Pb 2.61-2.84
Ni (0.2880, 0.2500, 0.9129)  4 Pb 2.61-2.84
Ni (0.7120, 0.7500, 0.0871)  4 Pb 2.61-2.84
Ni (0.7880, 0.2500, 0.5871)  4 Pb 2.61-2.84
Pb (0.1894, 0.2500, 0.5847)  4 Ni 2.61-2.84
Pb (0.3106, 0.7500, 0.0847)  4 Ni 2.61-2.84
Pb (0.6894, 0.2500, 0.9153)  4 Ni 2.61-2.84
Pb (0.8106, 0.7500, 0.4153)  4 Ni 2.61-2.84

**Crystal system**: orthorhombic
**Space-group type**: Pnma (62)

***

[3]
A geometry-optimized La12Co6Pb structure. Source: the Materials Project database, functional r2SCAN.

abc: 8.8539 8.8539 8.8539
angles: 109.55 109.48 109.38
Last column: nearest neighbours and their distance in Å.
Element x y z (fractional)
La (0.0029, 0.8118, 0.1911)  3 Co 2.79-2.97
La (0.1889, 0.3086, 0.4975)  3 Co 2.79-2.97
La (0.1889, 0.6914, 0.8804)  3 Co 2.79-2.97
La (0.3078, 0.6200, 0.3122)  3 Co 2.78-2.97
La (0.3078, 0.9957, 0.6878)  3 Co 2.78-2.97
La (0.3793, 0.1882, 0.1911)  3 Co 2.79-2.97
La (0.6207, 0.8118, 0.8089)  3 Co 2.79-2.97
La (0.6922, 0.0043, 0.3122)  3 Co 2.78-2.97
La (0.6922, 0.3800, 0.6878)  3 Co 2.78-2.97
La (0.8111, 0.3086, 0.1196)  3 Co 2.79-2.97
La (0.8111, 0.6914, 0.5025)  3 Co 2.79-2.97
La (0.9971, 0.1882, 0.8089)  3 Co 2.79-2.97
Co (0.0000, 0.1110, 0.1110)  1 Co 2.27
Co (0.0000, 0.8890, 0.8890)  1 Co 2.27
Co (0.1110, 0.6110, 0.5000)  1 Co 2.27
Co (0.3888, 0.0000, 0.3888)  1 Co 2.27
Co (0.6112, 0.0000, 0.6112)  1 Co 2.27
Co (0.8890, 0.3890, 0.5000)  1 Co 2.27
Pb (0.5000, 0.5000, 0.0000)  12 La 3.73-3.75

**Crystal system**: orthorhombic
**Space-group type**: Immm (71)

***

[4]
A geometry-optimized CdPd3O4 structure. Source: the Materials Project database, functional r2SCAN.

abc: 5.7649 5.7649 5.7649
angles: 90.00 90.00 90.00
Last column: nearest neighbours and their distance in Å.
Element x y z (fractional)
Cd (0.0000, 0.0000, 0.0000)  8 O 2.50
Cd (0.5000, 0.5000, 0.5000)  8 O 2.50
Pd (0.0000, 0.2500, 0.5000)  4 O 2.04
Pd (0.0000, 0.7500, 0.5000)  4 O 2.04
Pd (0.2500, 0.5000, 0.0000)  4 O 2.04
Pd (0.5000, 0.0000, 0.2500)  4 O 2.04
Pd (0.5000, 0.0000, 0.7500)  4 O 2.04
Pd (0.7500, 0.5000, 0.0000)  4 O 2.04
O (0.2500, 0.2500, 0.2500)  3 Pd 2.04
O (0.2500, 0.2500, 0.7500)  3 Pd 2.04
O (0.2500, 0.7500, 0.2500)  3 Pd 2.04
O (0.2500, 0.7500, 0.7500)  3 Pd 2.04
O (0.7500, 0.2500, 0.2500)  3 Pd 2.04
O (0.7500, 0.2500, 0.7500)  3 Pd 2.04
O (0.7500, 0.7500, 0.2500)  3 Pd 2.04
O (0.7500, 0.7500, 0.7500)  3 Pd 2.04

**Crystal system**: cubic
**Space-group type**: Pm-3n (223)

***

[5]
A geometry-optimized K4U5Te2O21 structure. Source: the Materials Project database, functional r2SCAN.

abc: 6.9693 7.1183 11.3817
angles: 99.92 94.45 100.04
Last column: nearest neighbours and their distance in Å.
Element x y z (fractional)
K (0.0632, 0.2947, 0.0844)  6 O 2.65-2.84
K (0.1961, 0.8414, 0.2661)  6 O 2.69-2.87
K (0.8039, 0.1586, 0.7339)  6 O 2.69-2.87
K (0.9368, 0.7053, 0.9156)  6 O 2.65-2.84
U (0.2777, 0.8745, 0.6829)  2 O 1.83-1.84
U (0.3751, 0.4298, 0.8186)  2 O 1.85-1.86
U (0.5000, 0.0000, 0.0000)  2 O 1.86
U (0.6249, 0.5702, 0.1814)  2 O 1.85-1.86
U (0.7223, 0.1255, 0.3171)  2 O 1.83-1.84
Te (0.1814, 0.3159, 0.5127)  3 O 1.86-1.88
Te (0.8186, 0.6841, 0.4873)  3 O 1.86-1.88
O (0.0324, 0.8738, 0.7329)  1 U 1.84
O (0.0880, 0.7674, 0.4898)  1 Te 1.86
O (0.1238, 0.3849, 0.8662)  1 U 1.86
O (0.2143, 0.5283, 0.6413)  1 Te 1.88
O (0.2510, 0.9887, 0.0489)  1 U 1.86
O (0.2617, 0.1726, 0.6246)  1 Te 1.87
O (0.3717, 0.7531, 0.8476)  3 U 2.25-2.29
O (0.3814, 0.5290, 0.2367)  1 U 1.85
O (0.4155, 0.1234, 0.8370)  3 U 2.27-2.29
O (0.4879, 0.1290, 0.3793)  1 U 1.83
O (0.5000, 0.5000, 0.0000)  2 U 2.12
O (0.5121, 0.8710, 0.6207)  1 U 1.83
O (0.5845, 0.8766, 0.1630)  3 U 2.27-2.29
O (0.6186, 0.4710, 0.7633)  1 U 1.85
O (0.6283, 0.2469, 0.1524)  3 U 2.25-2.29
O (0.7383, 0.8274, 0.3754)  1 Te 1.87
O (0.7490, 0.0113, 0.9511)  1 U 1.86
O (0.7857, 0.4717, 0.3587)  1 Te 1.88
O (0.8762, 0.6151, 0.1338)  1 U 1.86
O (0.9120, 0.2326, 0.5102)  1 Te 1.86
O (0.9676, 0.1262, 0.2671)  1 U 1.84

**Crystal system**: triclinic
**Space-group type**: P-1 (2)

***

[6]
A geometry-optimized Nb4Te17I4 structure. Source: the Materials Project database, functional r2SCAN.

abc: 9.3057 9.3057 27.0767
angles: 102.91 102.91 54.15
Last column: nearest neighbours and their distance in Å.
Element x y z (fractional)
Nb (0.0257, 0.5936, 0.5571)  8 Te 2.83-3.00
Nb (0.1212, 0.7249, 0.6716)  8 Te 2.76-3.02
Nb (0.2751, 0.8788, 0.8284)  8 Te 2.76-3.02
Nb (0.4064, 0.9743, 0.9429)  8 Te 2.83-3.00
Nb (0.5936, 0.0257, 0.0571)  8 Te 2.83-3.00
Nb (0.7249, 0.1212, 0.1716)  8 Te 2.76-3.02
Nb (0.8788, 0.2751, 0.3284)  8 Te 2.76-3.02
Nb (0.9743, 0.4064, 0.4429)  8 Te 2.83-3.00
Te (0.0404, 0.0818, 0.9070)  1 Te 2.76, 2 Nb 2.88-2.92
Te (0.0475, 0.9525, 0.2500)  2 Te 2.87, 2 Nb 3.02
Te (0.0818, 0.0404, 0.4070)  1 Te 2.76, 2 Nb 2.88-2.92
Te (0.1101, 0.6959, 0.7751)  1 Te 2.87, 2 Nb 2.88-2.90, 1 I 3.13
Te (0.1491, 0.4004, 0.6456)  1 Te 2.78, 2 Nb 2.81-2.93
Te (0.1628, 0.5751, 0.4697)  1 Te 2.79, 2 Nb 2.86-2.87
Te (0.1653, 0.2321, 0.8672)  1 Te 2.76, 2 Nb 2.82-2.97
Te (0.2321, 0.1653, 0.3672)  1 Te 2.76, 2 Nb 2.82-2.97
Te (0.2610, 0.2979, 0.0094)  1 Te 2.79, 2 Nb 2.83-2.86
Te (0.2979, 0.2610, 0.5094)  1 Te 2.79, 2 Nb 2.83-2.86
Te (0.3041, 0.8899, 0.7249)  1 Te 2.87, 2 Nb 2.88-2.90, 1 I 3.13
Te (0.3517, 0.5943, 0.5998)  2 Nb 2.76-3.00, 1 Te 2.80
Te (0.3801, 0.4650, 0.1770)  2 Te 2.78-2.80, 1 Nb 2.92
Te (0.4004, 0.1491, 0.1456)  1 Te 2.78, 2 Nb 2.81-2.93
Te (0.4057, 0.6483, 0.9002)  2 Nb 2.76-3.00, 1 Te 2.80
Te (0.4249, 0.8372, 0.0303)  1 Te 2.79, 2 Nb 2.86-2.87
Te (0.4650, 0.3801, 0.6770)  2 Te 2.78-2.80, 1 Nb 2.92
Te (0.5350, 0.6199, 0.3230)  2 Te 2.78-2.80, 1 Nb 2.92
Te (0.5751, 0.1628, 0.9697)  1 Te 2.79, 2 Nb 2.86-2.87
Te (0.5943, 0.3517, 0.0998)  2 Nb 2.76-3.00, 1 Te 2.80
Te (0.5996, 0.8509, 0.8544)  1 Te 2.78, 2 Nb 2.81-2.93
Te (0.6199, 0.5350, 0.8230)  2 Te 2.78-2.80, 1 Nb 2.92
Te (0.6483, 0.4057, 0.4002)  2 Nb 2.76-3.00, 1 Te 2.80
Te (0.6959, 0.1101, 0.2751)  1 Te 2.87, 2 Nb 2.88-2.90, 1 I 3.13
Te (0.7021, 0.7390, 0.4906)  1 Te 2.79, 2 Nb 2.83-2.86
Te (0.7390, 0.7021, 0.9906)  1 Te 2.79, 2 Nb 2.83-2.86
Te (0.7679, 0.8347, 0.6328)  1 Te 2.76, 2 Nb 2.82-2.97
Te (0.8347, 0.7679, 0.1328)  1 Te 2.76, 2 Nb 2.82-2.97
Te (0.8372, 0.4249, 0.5303)  1 Te 2.79, 2 Nb 2.86-2.87
Te (0.8509, 0.5996, 0.3544)  1 Te 2.78, 2 Nb 2.81-2.93
Te (0.8899, 0.3041, 0.2249)  1 Te 2.87, 2 Nb 2.88-2.90, 1 I 3.13
Te (0.9182, 0.9596, 0.5930)  1 Te 2.76, 2 Nb 2.88-2.92
Te (0.9525, 0.0475, 0.7500)  2 Te 2.87, 2 Nb 3.02
Te (0.9596, 0.9182, 0.0930)  1 Te 2.76, 2 Nb 2.88-2.92
I (0.0278, 0.7616, 0.9444)  4 Te 3.42-3.73
I (0.2384, 0.9722, 0.5556)  4 Te 3.42-3.73
I (0.2986, 0.4023, 0.2939)  1 Te 3.13
I (0.4023, 0.2986, 0.7939)  1 Te 3.13
I (0.5977, 0.7014, 0.2061)  1 Te 3.13
I (0.7014, 0.5977, 0.7061)  1 Te 3.13
I (0.7616, 0.0278, 0.4444)  4 Te 3.42-3.73
I (0.9722, 0.2384, 0.0556)  4 Te 3.42-3.73

**Crystal system**: monoclinic
**Space-group type**: C2/c (15)

***

[7]
A geometry-optimized SmZnGe structure. Source: the Materials Project database, functional r2SCAN.

abc: 4.2297 4.2297 16.3131
angles: 90.00 90.00 120.00
Last column: nearest neighbours and their distance in Å.
Element x y z (fractional)
Sm (0.0000, 0.0000, 0.0000)  6 Ge 3.09, 6 Zn 3.38
Sm (0.0000, 0.0000, 0.2500)  6 Zn 3.00, 6 Ge 3.28
Sm (0.0000, 0.0000, 0.5000)  6 Ge 3.09, 6 Zn 3.38
Sm (0.0000, 0.0000, 0.7500)  6 Zn 3.00, 6 Ge 3.28
Zn (0.3333, 0.6667, 0.1431)  3 Ge 2.48
Zn (0.3333, 0.6667, 0.3569)  3 Ge 2.48
Zn (0.6667, 0.3333, 0.6431)  3 Ge 2.48
Zn (0.6667, 0.3333, 0.8569)  3 Ge 2.48
Ge (0.3333, 0.6667, 0.6156)  3 Zn 2.48
Ge (0.3333, 0.6667, 0.8844)  3 Zn 2.48
Ge (0.6667, 0.3333, 0.1156)  3 Zn 2.48
Ge (0.6667, 0.3333, 0.3844)  3 Zn 2.48

**Crystal system**: hexagonal
**Space-group type**: P6_3/mmc (194)

***

[8]
A geometry-optimized Y2Pt structure. Source: the Materials Project database, functional r2SCAN.

abc: 7.1652 4.7861 8.8155
angles: 90.00 90.00 90.00
Last column: nearest neighbours and their distance in Å.
Element x y z (fractional)
Y (0.0089, 0.2500, 0.1661)  3 Pt 2.82-3.06
Y (0.1427, 0.2500, 0.5820)  4 Pt 2.88-2.96
Y (0.3573, 0.7500, 0.0820)  4 Pt 2.88-2.96
Y (0.4911, 0.7500, 0.6661)  3 Pt 2.82-3.06
Y (0.5089, 0.2500, 0.3339)  3 Pt 2.82-3.06
Y (0.6427, 0.2500, 0.9180)  4 Pt 2.88-2.96
Y (0.8573, 0.7500, 0.4180)  4 Pt 2.88-2.96
Y (0.9911, 0.7500, 0.8339)  3 Pt 2.82-3.06
Pt (0.2407, 0.2500, 0.9076)  7 Y 2.82-3.06
Pt (0.2593, 0.7500, 0.4076)  7 Y 2.82-3.06
Pt (0.7407, 0.2500, 0.5924)  7 Y 2.82-3.06
Pt (0.7593, 0.7500, 0.0924)  7 Y 2.82-3.06

**Crystal system**: orthorhombic
**Space-group type**: Pnma (62)

***

[9]
A geometry-optimized TmPb3 structure. Source: the Materials Project database, functional r2SCAN.

abc: 4.8323 4.8323 4.8323
angles: 90.00 90.00 90.00
Last column: nearest neighbours and their distance in Å.
Element x y z (fractional)
Tm (0.0000, 0.0000, 0.0000)  12 Pb 3.42
Pb (0.0000, 0.5000, 0.5000)  8 Pb 3.42, 4 Tm 3.42
Pb (0.5000, 0.0000, 0.5000)  8 Pb 3.42, 4 Tm 3.42
Pb (0.5000, 0.5000, 0.0000)  8 Pb 3.42, 4 Tm 3.42

**Crystal system**: cubic
**Space-group type**: Pm-3m (221)

***

Number 1: calculated formation energy -0.0780 eV/atom. Number 2: calculated formation energy -0.4749 eV/atom. Number 3: calculated formation energy -0.1252 eV/atom. Number 4: calculated formation energy -0.7695 eV/atom. Number 5: calculated formation energy -2.7838 eV/atom. Number 6: calculated formation energy -0.3752 eV/atom. Number 7: calculated formation energy -0.7986 eV/atom. Number 8: calculated formation energy -1.0094 eV/atom. Number 9: calculated formation energy -0.2848 eV/atom.